(1)
First-principles (GGA-PBE) data for crystalline Ti2CuS4 at its relaxed geometry, as listed in the Materials Project database.

Crystal system: monoclinic
Space group: Cc
Uncorrected energy in eV per cell: -87.08
Size of the total moment in Bohr magnetons per cell: 0.721
Energy of formation in meV/atom: -1302

Unit cell a=6.637 b=6.637 c=7.047 alpha=75.80 beta=75.80 gamma=118.58
Fractional coordinates of all 14 atoms:
Ti 0.494 0.748 0.516
Ti 0.253 0.004 0.002
Ti 0.004 0.253 0.502
Ti 0.748 0.494 0.016
Cu 0.728 0.484 0.475
Cu 0.484 0.728 0.975
S 0.204 0.723 0.828
S 0.723 0.204 0.328
S 0.708 0.214 0.837
S 0.214 0.708 0.337
S 0.800 0.795 0.664
S 0.299 0.284 0.179
S 0.284 0.299 0.679
S 0.795 0.800 0.164



(2)
First-principles (GGA-PBE) data for crystalline Ti2CuS4 at its relaxed geometry, as listed in the Materials Project database.

Crystal system: trigonal
Space group: R-3m
Uncorrected energy in eV per cell: -177.36
Size of the total moment in Bohr magnetons per cell: 3.736
Energy of formation in meV/atom: -1416

Unit cell a=12.286 b=12.286 c=12.286 alpha=33.27 beta=33.27 gamma=33.27
Fractional coordinates of all 28 atoms:
Ti 0.418 0.917 0.917
Ti 0.083 0.083 0.582
Ti 0.500 0.500 0.500
Ti 0.917 0.917 0.418
Ti 0.083 0.582 0.083
Ti 0.582 0.083 0.083
Ti 0.917 0.418 0.917
Ti 0.000 0.000 0.000
Cu 0.188 0.188 0.188
Cu 0.354 0.354 0.354
Cu 0.646 0.646 0.646
Cu 0.812 0.812 0.812
S 0.385 0.385 0.862
S 0.202 0.202 0.724
S 0.798 0.798 0.276
S 0.876 0.876 0.876
S 0.615 0.138 0.615
S 0.138 0.615 0.615
S 0.276 0.798 0.798
S 0.798 0.276 0.798
S 0.862 0.385 0.385
S 0.202 0.724 0.202
S 0.724 0.202 0.202
S 0.615 0.615 0.138
S 0.289 0.289 0.289
S 0.711 0.711 0.711
S 0.385 0.862 0.385
S 0.124 0.124 0.124



(3)
First-principles (GGA-PBE) data for crystalline Ti10Cu7S20 at its relaxed geometry, as listed in the Materials Project database.

Crystal system: monoclinic
Space group: Cm
Uncorrected energy in eV per cell: -229.40
Size of the total moment in Bohr magnetons per cell: 0.009
Energy of formation in meV/atom: -1327

Unit cell a=6.666 b=6.666 c=29.649 alpha=81.87 beta=81.87 gamma=29.91
Fractional coordinates of all 37 atoms:
Ti 0.003 0.003 0.999
Ti 0.499 0.499 0.900
Ti 0.002 0.002 0.800
Ti 0.498 0.498 0.700
Ti 0.502 0.502 0.500
Ti 0.000 0.000 0.600
Ti 0.998 0.998 0.400
Ti 0.500 0.500 0.300
Ti 0.002 0.002 0.200
Ti 0.502 0.502 0.100
Cu 0.711 0.711 0.685
Cu 0.789 0.789 0.815
Cu 0.211 0.211 0.385
Cu 0.289 0.289 0.515
Cu 0.787 0.787 0.216
Cu 0.286 0.286 0.114
Cu 0.788 0.788 0.013
S 0.383 0.383 0.973
S 0.886 0.886 0.874
S 0.111 0.111 0.926
S 0.384 0.384 0.773
S 0.615 0.615 0.826
S 0.884 0.884 0.674
S 0.116 0.116 0.727
S 0.387 0.387 0.575
S 0.613 0.613 0.625
S 0.884 0.884 0.473
S 0.116 0.116 0.526
S 0.384 0.384 0.374
S 0.616 0.616 0.427
S 0.887 0.887 0.275
S 0.113 0.113 0.325
S 0.382 0.382 0.175
S 0.615 0.615 0.225
S 0.883 0.883 0.074
S 0.114 0.114 0.126
S 0.615 0.615 0.026



(4)
First-principles (GGA-PBE) data for crystalline Ti2CuS4 at its relaxed geometry, as listed in the Materials Project database.

Crystal system: monoclinic
Space group: P2/m
Uncorrected energy in eV per cell: -43.48
Size of the total moment in Bohr magnetons per cell: 0.729
Energy of formation in meV/atom: -1294

Unit cell a=3.395 b=6.194 c=5.673 alpha=91.04 beta=89.99 gamma=89.99
Fractional coordinates of all 7 atoms:
Ti 0.500 0.500 0.500
Ti 0.000 0.000 0.000
Cu 0.000 0.000 0.500
S 0.500 0.168 0.757
S 0.000 0.666 0.744
S 0.000 0.334 0.256
S 0.500 0.832 0.243